1.
Material: B13C2
Method: DFT, r²SCAN
State: optimized geometry

Lattice parameters (Å, degrees): 5.184 5.184 5.184 66.03 66.03 66.03
Fractional positions:
B1 0.324 0.008 0.008
B2 0.197 0.197 0.681
B3 0.197 0.681 0.197
B4 0.008 0.324 0.008
B5 0.681 0.197 0.197
B6 0.676 0.992 0.992
B7 0.803 0.803 0.319
B8 0.992 0.676 0.992
B9 0.319 0.803 0.803
B10 0.803 0.319 0.803
B11 0.992 0.992 0.676
B12 0.500 0.500 0.500
B13 0.008 0.008 0.324
C1 0.619 0.619 0.619
C2 0.381 0.381 0.381

Output
Formation energy in meV per atom: -95
SG: R-3m (166)

2.
Material: GdAlO3
Method: DFT, r²SCAN
State: optimized geometry

Lattice parameters (Å, degrees): 5.243 5.305 7.446 90.00 90.00 90.00
Fractional positions:
O1 0.715 0.286 0.039
O2 0.927 0.515 0.750
O3 0.573 0.015 0.750
O4 0.285 0.714 0.961
O5 0.427 0.985 0.250
O6 0.215 0.214 0.961
O7 0.785 0.786 0.461
O8 0.215 0.214 0.539
O9 0.715 0.286 0.461
O10 0.785 0.786 0.039
O11 0.073 0.485 0.250
O12 0.285 0.714 0.539
Al1 0.000 0.500 0.000
Al2 0.000 0.500 0.500
Al3 0.500 0.000 0.500
Al4 0.500 0.000 0.000
Gd1 0.009 0.960 0.750
Gd2 0.509 0.540 0.250
Gd3 0.491 0.460 0.750
Gd4 0.991 0.040 0.250

Output
Formation energy in meV per atom: -3616
SG: Pnma (62)

3.
Material: GeBi2Te4
Method: DFT, r²SCAN
State: optimized geometry

Lattice parameters (Å, degrees): 14.486 14.486 14.486 17.31 17.31 17.31
Fractional positions:
Te1 0.706 0.706 0.706
Te2 0.294 0.294 0.294
Te3 0.871 0.871 0.871
Te4 0.129 0.129 0.129
Ge1 0.000 0.000 0.000
Bi1 0.579 0.579 0.579
Bi2 0.421 0.421 0.421

Output
Formation energy in meV per atom: -193
SG: R-3m (166)